Mg6MnSiO8 after structural relaxation. Source: the Materials Project database, functional GGA+U.

```
16
Lattice="-2.4498 8.0856 -2.2072 -4.0148 -0.8181 1.4593 1.1445 1.4242 3.9471" Properties=species:S:1:pos:R:3 pbc="T T T"
Mg -1.2249 4.0428 -1.1036
Mg -2.6601 4.3459 1.5996
Mg -0.0541 2.7794 1.4092
Mg -1.2512 6.7304 0.3307
Mg -2.6338 1.6582 0.1653
Mg -3.8309 5.6093 -0.9132
Mn 0.0000 0.0000 0.0000
Si -1.4352 0.3031 2.7032
O -0.6310 2.0826 -0.5685
O -1.8188 6.0030 -1.6387
O -2.0763 2.4192 2.1255
O -3.2438 6.2725 1.0737
O 0.5722 0.7121 1.9735
O -0.6527 4.7549 0.8699
O -2.0074 -0.4090 0.7297
O -3.2323 3.6338 -0.3739
```

Calculated values
Energy above the lowest structure with this stoichiometry (eV per atom): 0.000
Energy relative to the elements (meV/atom): -2589